Record 1
{"formula": "PaGaNi2", "functional": "r2SCAN", "state": "relaxed", "space_group": "No. 225", "e_form_mev_per_atom": -367, "lattice": [[-0.358, 1.029, 4.335], [1.449, 3.959, 1.484], [-2.935, 3.099, 1.326]], "species": ["Pa", "Ga", "Ni", "Ni"], "frac_coords": [[0.500, 0.500, 0.500], [0.000, 0.000, 0.000], [0.750, 0.750, 0.750], [0.250, 0.250, 0.250]]}

---

Record 2
{"formula": "Pr2Ga7Ni", "functional": "r2SCAN", "state": "relaxed", "space_group": "No. 99", "e_form_mev_per_atom": -606, "lattice": [[-1.477, 0.791, 3.942], [3.507, -1.800, 1.675], [4.761, 9.212, -0.066]], "species": ["Pr", "Pr", "Ga", "Ga", "Ga", "Ga", "Ga", "Ga", "Ga", "Ni"], "frac_coords": [[0.000, 0.000, 0.997], [0.500, 0.500, 0.482], [0.000, 0.500, 0.233], [0.500, 0.000, 0.755], [0.500, 0.000, 0.233], [0.000, 0.500, 0.755], [0.000, 0.000, 0.619], [0.000, 0.000, 0.382], [0.500, 0.500, 0.909], [0.500, 0.500, 0.134]]}

---

Record 3
{"formula": "PrGa2Ni", "functional": "r2SCAN", "state": "relaxed", "space_group": "No. 65", "e_form_mev_per_atom": -673, "lattice": [[-2.435, 3.353, 0.570], [-0.399, 0.417, -4.155], [-6.845, -5.351, 2.238]], "species": ["Pr", "Pr", "Ga", "Ga", "Ga", "Ga", "Ni", "Ni"], "frac_coords": [[0.500, 0.358, 0.716], [0.500, 0.642, 0.284], [0.000, 0.209, 0.419], [0.000, 0.791, 0.581], [0.500, 0.000, 0.000], [0.000, 0.500, 0.000], [0.000, 0.072, 0.144], [0.000, 0.928, 0.856]]}

---

Record 4
{"formula": "PuGaNi", "functional": "r2SCAN", "state": "relaxed", "space_group": "No. 6", "e_form_mev_per_atom": -529, "lattice": [[0.199, 3.729, 5.621], [-4.854, 1.023, -4.581], [-2.322, -2.682, 1.861]], "species": ["Pu", "Pu", "Pu", "Ga", "Ga", "Ga", "Ni", "Ni", "Ni"], "frac_coords": [[0.427, 0.001, 0.500], [0.999, 0.426, 0.500], [0.573, 0.573, 0.500], [0.767, 0.000, 0.000], [0.002, 0.767, 0.000], [0.234, 0.233, 0.000], [0.334, 0.668, 0.000], [0.668, 0.333, 0.000], [0.998, 0.999, 0.500]]}

---

Record 5
{"formula": "ScGa2Ni", "functional": "r2SCAN", "state": "relaxed", "space_group": "No. 63", "e_form_mev_per_atom": -681, "lattice": [[-3.677, 0.855, -1.364], [2.012, -4.225, -2.167], [-2.566, -3.609, 4.653]], "species": ["Sc", "Sc", "Ga", "Ga", "Ga", "Ga", "Ni", "Ni"], "frac_coords": [[0.075, 0.150, 0.250], [0.925, 0.850, 0.750], [0.362, 0.724, 0.449], [0.638, 0.276, 0.551], [0.638, 0.276, 0.949], [0.362, 0.724, 0.051], [0.793, 0.587, 0.250], [0.207, 0.413, 0.750]]}

---

Record 6
{"formula": "Sc2Ga8Ni", "functional": "r2SCAN", "state": "relaxed", "space_group": "No. 123", "e_form_mev_per_atom": -484, "lattice": [[4.113, 0.000, 0.000], [0.000, 4.113, 0.000], [0.000, 0.000, 10.597]], "species": ["Sc", "Sc", "Ga", "Ga", "Ga", "Ga", "Ga", "Ga", "Ga", "Ga", "Ni"], "frac_coords": [[0.000, 0.000, 0.311], [0.000, 0.000, 0.689], [0.000, 0.500, 0.124], [0.000, 0.500, 0.876], [0.500, 0.000, 0.124], [0.500, 0.000, 0.876], [0.000, 0.500, 0.500], [0.500, 0.000, 0.500], [0.500, 0.500, 0.305], [0.500, 0.500, 0.695], [0.000, 0.000, 0.000]]}

---

Record 7
{"formula": "ScGaNi", "functional": "r2SCAN", "state": "relaxed", "space_group": "No. 2", "e_form_mev_per_atom": -621, "lattice": [[-4.082, -0.007, 0.000], [-2.045, -3.052, 3.524], [2.046, 3.325, 3.757]], "species": ["Sc", "Sc", "Ga", "Ga", "Ni", "Ni"], "frac_coords": [[0.745, 0.699, 0.189], [0.255, 0.301, 0.811], [0.572, 0.253, 0.397], [0.428, 0.747, 0.603], [0.038, 0.119, 0.195], [0.962, 0.881, 0.805]]}

---

Record 8
{"formula": "ScGa5Ni", "functional": "r2SCAN", "state": "relaxed", "space_group": "No. 123", "e_form_mev_per_atom": -461, "lattice": [[-2.119, -3.458, 0.878], [1.143, -1.625, -3.643], [5.294, -2.535, 2.792]], "species": ["Sc", "Ga", "Ga", "Ga", "Ga", "Ga", "Ni"], "frac_coords": [[0.000, 0.000, 0.000], [0.000, 0.500, 0.300], [0.000, 0.500, 0.700], [0.500, 0.000, 0.300], [0.500, 0.000, 0.700], [0.500, 0.500, 0.000], [0.000, 0.000, 0.500]]}

---

Record 9
{"formula": "Sm3Ga2Ni6", "functional": "r2SCAN", "state": "relaxed", "space_group": "No. 229", "e_form_mev_per_atom": -480, "lattice": [[-4.462, 4.462, 4.462], [4.462, -4.462, 4.462], [4.462, 4.462, -4.462]], "species": ["Sm", "Sm", "Sm", "Sm", "Sm", "Sm", "Ga", "Ga", "Ga", "Ga", "Ni", "Ni", "Ni", "Ni", "Ni", "Ni", "Ni", "Ni", "Ni", "Ni", "Ni", "Ni"], "frac_coords": [[0.292, 0.292, 0.000], [0.000, 0.292, 0.292], [0.000, 0.708, 0.708], [0.708, 0.000, 0.708], [0.292, 0.000, 0.292], [0.708, 0.708, 0.000], [0.500, 0.500, 0.500], [0.000, 0.000, 0.500], [0.500, 0.000, 0.000], [0.000, 0.500, 0.000], [0.665, 0.665, 0.330], [0.000, 0.335, 0.665], [0.330, 0.665, 0.665], [0.665, 0.330, 0.665], [0.335, 0.000, 0.665], [0.665, 0.335, 0.000], [0.335, 0.665, 0.000], [0.335, 0.670, 0.335], [0.000, 0.665, 0.335], [0.665, 0.000, 0.335], [0.670, 0.335, 0.335], [0.335, 0.335, 0.670]]}

---

Record 10
{"formula": "SmGa2Ni", "functional": "r2SCAN", "state": "relaxed", "space_group": "No. 65", "e_form_mev_per_atom": -705, "lattice": [[0.000, 0.000, 4.107], [4.140, 0.000, 0.000], [-2.070, 8.662, 0.000]], "species": ["Sm", "Sm", "Ga", "Ga", "Ga", "Ga", "Ni", "Ni"], "frac_coords": [[0.500, 0.358, 0.716], [0.500, 0.642, 0.284], [0.000, 0.209, 0.419], [0.000, 0.790, 0.581], [0.500, 0.000, 0.000], [0.000, 0.500, 0.000], [0.000, 0.074, 0.146], [0.000, 0.926, 0.854]]}

---

Record 11
{"formula": "SmGaNi", "functional": "r2SCAN", "state": "relaxed", "space_group": "No. 62", "e_form_mev_per_atom": -617, "lattice": [[4.388, 0.000, 0.000], [0.000, 7.016, 0.000], [0.000, 0.000, 7.182]], "species": ["Sm", "Sm", "Sm", "Sm", "Ga", "Ga", "Ga", "Ga", "Ni", "Ni", "Ni", "Ni"], "frac_coords": [[0.250, 0.027, 0.807], [0.250, 0.527, 0.693], [0.750, 0.973, 0.193], [0.750, 0.473, 0.307], [0.250, 0.174, 0.416], [0.250, 0.674, 0.084], [0.750, 0.826, 0.584], [0.750, 0.326, 0.916], [0.250, 0.802, 0.410], [0.250, 0.302, 0.090], [0.750, 0.198, 0.590], [0.750, 0.698, 0.910]]}